A | Compound: SrMg14VO16
Source: the Materials Project
Functional: PBE with a Hubbard U
Structure: relaxed

Cell lengths 8.6449, 8.7272, 4.3961 Å; angles 90.00, 90.00, 90.00 degrees
Positions (direct):
O 0.2572 0.0000 0.0000
Mg 0.5000 0.5000 0.0000
O 0.2722 0.5000 0.0000
O 0.0000 0.5000 0.5000
O 0.5000 0.2452 0.0000
Mg 0.2557 0.7550 0.0000
Sr 0.0000 0.5000 0.0000
Mg 0.7483 0.0000 0.5000
Mg 0.2517 0.0000 0.5000
V 0.0000 0.0000 0.0000
O 0.0000 0.7645 0.0000
Mg 0.5000 0.2486 0.5000
O 0.0000 0.2355 0.0000
O 0.2498 0.7506 0.5000
Mg 0.5000 0.0000 0.0000
O 0.7502 0.7506 0.5000
Mg 0.5000 0.7514 0.5000
Mg 0.2557 0.2450 0.0000
O 0.5000 0.7548 0.0000
O 0.7278 0.5000 0.0000
Mg 0.7443 0.7550 0.0000
O 0.0000 0.0000 0.5000
O 0.5000 0.0000 0.5000
O 0.7428 0.0000 0.0000
Mg 0.7408 0.5000 0.5000
Mg 0.2592 0.5000 0.5000
O 0.7502 0.2494 0.5000
O 0.2498 0.2494 0.5000
O 0.5000 0.5000 0.5000
Mg 0.7443 0.2450 0.0000
Mg 0.0000 0.2421 0.5000
Mg 0.0000 0.7579 0.5000

spin magnetization = 3.00 μB per formula unit
SG = Pmmm, No. 47

***

B | Compound: SrMg14VO16
Source: the Materials Project
Functional: PBE with a Hubbard U
Structure: relaxed

Cell lengths 8.6710, 8.6710, 4.3998 Å; angles 90.00, 90.00, 90.00 degrees
Positions (direct):
Mg 0.5000 0.0000 0.0000
Mg 0.5000 0.2401 0.5000
O 0.7713 0.5000 0.0000
O 0.5000 0.0000 0.5000
Mg 0.2500 0.0000 0.5000
Mg 0.0000 0.2500 0.5000
O 0.0000 0.2512 0.0000
O 0.0000 0.0000 0.5000
Mg 0.7553 0.7553 0.0000
Mg 0.0000 0.5000 0.0000
Mg 0.0000 0.7500 0.5000
O 0.2493 0.7507 0.5000
O 0.5000 0.7713 0.0000
O 0.5000 0.5000 0.5000
V 0.0000 0.0000 0.0000
Mg 0.2447 0.7553 0.0000
Mg 0.2447 0.2447 0.0000
O 0.7507 0.2493 0.5000
O 0.0000 0.5000 0.5000
Mg 0.7500 0.0000 0.5000
Mg 0.5000 0.7599 0.5000
O 0.0000 0.7488 0.0000
O 0.7488 0.0000 0.0000
O 0.5000 0.2287 0.0000
Sr 0.5000 0.5000 0.0000
Mg 0.7553 0.2447 0.0000
O 0.2512 0.0000 0.0000
Mg 0.7599 0.5000 0.5000
O 0.7507 0.7507 0.5000
O 0.2493 0.2493 0.5000
O 0.2287 0.5000 0.0000
Mg 0.2401 0.5000 0.5000

spin magnetization = 3.00 μB per formula unit
SG = P4/mmm, No. 123

***

Stability ranking, top and bottom: B is the most stable and A is the least stable.

***

A | Compound: SrMg6VO8
Source: the Materials Project
Functional: PBE with a Hubbard U
Structure: relaxed

Cell lengths 8.8502, 4.4890, 4.4890 Å; angles 90.00, 90.00, 90.00 degrees
Positions (direct):
O 0.7526 0.5000 0.5000
O 0.5000 0.0000 0.5000
Mg 0.2406 0.0000 0.5000
O 0.7664 0.0000 0.0000
O 0.5000 0.5000 0.0000
Mg 0.7594 0.5000 0.0000
O 0.0000 0.0000 0.5000
O 0.2336 0.0000 0.0000
Mg 0.2406 0.5000 0.0000
Sr 0.5000 0.0000 0.0000
O 0.0000 0.5000 0.0000
V 0.0000 0.0000 0.0000
O 0.2474 0.5000 0.5000
Mg 0.7594 0.0000 0.5000
Mg 0.0000 0.5000 0.5000
Mg 0.5000 0.5000 0.5000

spin magnetization = 3.00 μB per formula unit
SG = P4/mmm, No. 123

***

B | Compound: SrMg6VO8
Source: the Materials Project
Functional: PBE with a Hubbard U
Structure: relaxed

Cell lengths 8.7553, 4.4972, 4.4972 Å; angles 90.00, 90.00, 90.00 degrees
Positions (direct):
Mg 0.7380 0.0000 0.5000
V 0.0000 0.0000 0.0000
Sr 0.0000 0.5000 0.5000
Mg 0.2620 0.5000 0.0000
O 0.7431 0.0000 0.0000
O 0.0000 0.0000 0.5000
O 0.5000 0.0000 0.5000
O 0.2733 0.5000 0.5000
Mg 0.2620 0.0000 0.5000
O 0.5000 0.5000 0.0000
Mg 0.7380 0.5000 0.0000
O 0.0000 0.5000 0.0000
Mg 0.5000 0.0000 0.0000
O 0.7267 0.5000 0.5000
O 0.2569 0.0000 0.0000
Mg 0.5000 0.5000 0.5000

spin magnetization = 3.00 μB per formula unit
SG = P4/mmm, No. 123

***

Stability ranking, top and bottom: B is the most stable and A is the least stable.

***

A | Compound: Tb4MgW2O12
Source: the Materials Project
Functional: PBE with a Hubbard U
Structure: relaxed

Cell lengths 5.7406, 5.4771, 8.3205 Å; angles 90.36, 93.20, 88.89 degrees
Positions (direct):
Tb 0.2324 0.5256 0.3574
Mg 0.6332 0.9922 0.8758
O 0.3361 0.8198 0.9128
O 0.9506 0.1216 0.8030
Tb 0.7274 0.9750 0.3534
O 0.2507 0.3066 0.1008
O 0.9821 0.7485 0.5139
O 0.0571 0.8372 0.1947
O 0.7826 0.6629 0.8882
W 0.5405 0.4896 0.0040
O 0.7426 0.1862 0.0807
W 0.0830 0.0257 0.0130
Tb 0.7455 0.4758 0.6241
Tb 0.2305 0.0294 0.6135
O 0.4642 0.2998 0.8043
O 0.4876 0.7552 0.5248
O 0.9841 0.2556 0.4610
O 0.5583 0.6514 0.2019
O 0.4868 0.2470 0.4676

spin magnetization = 0.00 μB per formula unit
SG = P1, No. 1

***

B | Compound: Tb4MgW2O12
Source: the Materials Project
Functional: PBE with a Hubbard U
Structure: relaxed

Cell lengths 5.7058, 5.3404, 8.4818 Å; angles 91.63, 92.31, 90.31 degrees
Positions (direct):
Tb 0.2239 0.0521 0.6103
Tb 0.7315 0.9636 0.3651
O 0.4798 0.2779 0.4590
O 0.0519 0.8568 0.2150
O 0.9459 0.1314 0.7886
Tb 0.7546 0.4670 0.6301
O 0.3365 0.7884 0.9217
Mg 0.6246 0.9622 0.8231
O 0.2526 0.3100 0.0804
Tb 0.2075 0.5129 0.3334
O 0.7922 0.6683 0.9161
O 0.5475 0.8172 0.5921
W 0.0552 0.9831 0.0011
O 0.5505 0.6470 0.2068
O 0.7342 0.2001 0.0703
O 0.0049 0.7371 0.5155
W 0.5343 0.4732 0.0093
O 0.9749 0.2544 0.4549
O 0.4730 0.3024 0.8025

spin magnetization = 0.01 μB per formula unit
SG = P1, No. 1

***

Stability ranking, top and bottom: A is the most stable and B is the least stable.

***

A | Compound: MgTl4V4Te4O20
Source: the Materials Project
Functional: PBE with a Hubbard U
Structure: relaxed

Cell lengths 7.1281, 8.0527, 9.3572 Å; angles 86.89, 87.90, 88.83 degrees
Positions (direct):
O 0.7041 0.4888 0.6712
O 0.4171 0.2526 0.6993
Te 0.4412 0.0919 0.0333
O 0.2027 0.4911 0.8243
O 0.0760 0.7402 0.1811
O 0.2368 0.6651 0.4332
O 0.5502 0.7748 0.3025
Te 0.9969 0.6085 0.5323
O 0.6337 0.0624 0.8877
O 0.9370 0.2448 0.8058
Mg 0.8626 0.1637 0.9976
V 0.1849 0.3059 0.7515
O 0.7399 0.1487 0.5746
O 0.7639 0.6570 0.0743
V 0.8079 0.7992 0.2385
O 0.3849 0.8586 0.0512
O 0.8128 0.0013 0.1601
O 0.6386 0.3600 0.9595
O 0.3888 0.5306 0.1448
V 0.3005 0.7925 0.2603
Tl 0.0572 0.8159 0.8794
O 0.0992 0.3778 0.5647
V 0.6868 0.2880 0.7382
O 0.1249 0.0178 0.6229
O 0.8782 0.8699 0.4377
Te 0.9737 0.0900 0.4728
Tl 0.5118 0.4104 0.4088
O 0.8613 0.5598 0.3700
O 0.2153 0.1460 0.9325
O 0.2556 0.9898 0.3037
Tl 0.4858 0.9001 0.6007
Te 0.5439 0.5866 0.9828
Tl 0.0473 0.4414 0.1455

spin magnetization = 0.00 μB per formula unit
SG = P1, No. 1

***

B | Compound: MgTl4V4Te4O20
Source: the Materials Project
Functional: PBE with a Hubbard U
Structure: relaxed

Cell lengths 7.2354, 7.8309, 9.1820 Å; angles 87.61, 89.10, 90.22 degrees
Positions (direct):
O 0.9545 0.2314 0.8266
V 0.3019 0.7806 0.2481
O 0.8661 0.5527 0.3669
O 0.6093 0.3608 0.9599
Tl 0.0129 0.4354 0.1102
Tl 0.9278 0.8659 0.8253
O 0.7582 0.1432 0.5811
O 0.1354 0.0216 0.6244
Tl 0.5092 0.3953 0.4209
O 0.4020 0.8585 0.0447
O 0.0593 0.7609 0.1630
V 0.1955 0.2954 0.7701
O 0.0996 0.3617 0.5679
V 0.8011 0.7930 0.2512
Mg 0.0837 0.0187 0.1024
O 0.3750 0.5481 0.1500
O 0.2105 0.4944 0.8318
O 0.5718 0.7847 0.3100
O 0.2531 0.1548 0.9597
V 0.7059 0.2832 0.7559
Te 0.0118 0.5998 0.5312
O 0.8175 0.0012 0.1685
O 0.4223 0.2557 0.7026
O 0.7262 0.4873 0.6818
O 0.2606 0.0008 0.2761
Te 0.5008 0.0978 0.0393
Te 0.5205 0.5993 0.9794
O 0.7451 0.6590 0.0803
O 0.2433 0.6543 0.4296
Te 0.9847 0.1069 0.4742
O 0.9020 0.8669 0.4345
Tl 0.4739 0.9047 0.6100
O 0.6298 0.0490 0.8652

spin magnetization = 2.03 μB per formula unit
SG = P1, No. 1

***

Stability ranking, top and bottom: A is the most stable and B is the least stable.

***

A | Compound: Mg2TeWO6
Source: the Materials Project
Functional: PBE with a Hubbard U
Structure: relaxed

Cell lengths 5.6080, 5.6574, 5.9321 Å; angles 112.98, 89.75, 107.19 degrees
Positions (direct):
Mg 0.0344 0.7427 0.3452
Mg 0.5825 0.1025 0.2508
Te 0.3485 0.3962 0.8036
O 0.3809 0.0803 0.5285
O 0.2366 0.8214 0.0658
O 0.9274 0.3336 0.1939
O 0.8030 0.8627 0.1775
O 0.9137 0.8160 0.6862
W 0.0435 0.0291 0.0077
O 0.4031 0.2857 0.0788

spin magnetization = 0.00 μB per formula unit
SG = P1, No. 1

***

B | Compound: Mg2TeWO6
Source: the Materials Project
Functional: PBE with a Hubbard U
Structure: relaxed

Cell lengths 5.3121, 5.0914, 10.3231 Å; angles 65.23, 90.00, 90.00 degrees
Positions (direct):
O 0.3763 0.1809 0.1686
O 0.8763 0.8191 0.3314
O 0.1237 0.1809 0.6686
W 0.5000 0.5000 0.0000
O 0.3387 0.7518 0.0736
Mg 0.9748 0.7717 0.7483
O 0.3016 0.4552 0.3945
W 0.0000 0.5000 0.5000
O 0.1984 0.4552 0.8945
Te 0.0000 0.0000 0.0000
Te 0.5000 0.0000 0.5000
Mg 0.4748 0.2283 0.7517
O 0.6984 0.5448 0.6055
O 0.8016 0.5448 0.1055
O 0.1613 0.7518 0.5736
O 0.8387 0.2482 0.4264
O 0.6613 0.2482 0.9264
Mg 0.5252 0.7717 0.2483
O 0.6237 0.8191 0.8314
Mg 0.0252 0.2283 0.2517

spin magnetization = 0.00 μB per formula unit
SG = P2_1/c, No. 14

***

Stability ranking, top and bottom: B is the most stable and A is the least stable.

***

A | Compound: MgTi2V2O8
Source: the Materials Project
Functional: PBE with a Hubbard U
Structure: relaxed

Cell lengths 6.1811, 5.7939, 5.7936 Å; angles 60.96, 93.98, 65.60 degrees
Positions (direct):
V 0.2853 0.2285 0.5139
Ti 0.8209 0.7565 0.5774
O 0.9457 0.3279 0.6843
Mg 0.7577 0.5036 0.2608
O 0.0564 0.1940 0.2506
O 0.5760 0.1870 0.3064
Ti 0.4008 0.5116 0.9123
O 0.4432 0.3144 0.7575
O 0.5762 0.7303 0.7633
O 0.9458 0.7386 0.2736
O 0.3863 0.7524 0.1387
V 0.0696 0.0048 0.0744
O 0.0457 0.7506 0.7964

spin magnetization = 4.00 μB per formula unit
SG = Cm, No. 8

***

B | Compound: MgTi2V2O8
Source: the Materials Project
Functional: PBE with a Hubbard U
Structure: relaxed

Cell lengths 5.6522, 5.6495, 5.8109 Å; angles 74.87, 105.89, 63.50 degrees
Positions (direct):
V 0.2007 0.2277 0.4834
O 0.0419 0.7437 0.7905
V 0.9746 0.0110 0.9743
O 0.4280 0.7649 0.1395
O 0.5185 0.2438 0.8003
O 0.0169 0.6951 0.3106
Ti 0.4952 0.5274 0.9512
Ti 0.7843 0.7801 0.4913
O 0.9099 0.2687 0.1651
Mg 0.4858 0.4951 0.4670
O 0.4987 0.1883 0.3308
O 0.4771 0.7720 0.6500
O 0.9303 0.3298 0.6484

spin magnetization = 4.00 μB per formula unit
SG = P1, No. 1

***

Stability ranking, top and bottom: B is the most stable and A is the least stable.

***

A | Compound: MgTiV3O8
Source: the Materials Project
Functional: PBE with a Hubbard U
Structure: relaxed

Cell lengths 6.4932, 6.4932, 6.9065 Å; angles 75.42, 104.58, 145.20 degrees
Positions (direct):
O 0.8636 0.1364 0.3054
O 0.1440 0.8560 0.7120
O 0.6450 0.3550 0.0259
O 0.3481 0.6519 0.9866
Mg 0.1766 0.8234 0.0064
V 0.5992 0.4008 0.6739
V 0.4036 0.5964 0.3135
O 0.4391 0.5609 0.6267
O 0.7674 0.2326 0.6411
O 0.2289 0.7711 0.3141
Ti 0.7078 0.2922 0.3153
V 0.3104 0.6896 0.7286
O 0.5642 0.4358 0.3706

spin magnetization = 5.00 μB per formula unit
SG = Cm, No. 8

***

B | Compound: MgTiV3O8
Source: the Materials Project
Functional: PBE with a Hubbard U
Structure: relaxed

Cell lengths 6.4357, 6.4357, 6.7521 Å; angles 74.31, 105.69, 144.51 degrees
Positions (direct):
V 0.4046 0.5954 0.3192
Ti 0.6985 0.3015 0.2689
O 0.2390 0.7610 0.3538
V 0.3024 0.6976 0.6891
O 0.8675 0.1325 0.2675
O 0.5739 0.4261 0.3819
O 0.4407 0.5593 0.6258
V 0.6128 0.3872 0.6954
O 0.6345 0.3655 0.0069
Mg 0.9026 0.0974 0.9935
O 0.3850 0.6150 0.9866
O 0.7888 0.2112 0.7048
O 0.1496 0.8504 0.7068

spin magnetization = 5.00 μB per formula unit
SG = Cm, No. 8

***

Stability ranking, top and bottom: B is the most stable and A is the least stable.